No. 1
# Li2Mo4O13, optimized geometry, DFT PBE with a Hubbard U
# Relative energy among the computed polymorphs ... 0.0 meV/atom
# E (MP2020) ... -450.96 eV per cell
data_Li2Mo4O13
_chemical_formula_sum 'Li6 Mo12 O39'
_cell_length_a 8.400
_cell_length_b 8.735
_cell_length_c 11.732
_cell_angle_alpha 95.88
_cell_angle_beta 109.14
_cell_angle_gamma 95.83
_symmetry_space_group_name_H-M 'P -1'
_symmetry_Int_Tables_number 2
loop_
_symmetry_equiv_pos_as_xyz
'x,y,z'
'-x,-y,-z'
loop_
_atom_site_label
_atom_site_fract_x
_atom_site_fract_y
_atom_site_fract_z
Li1 0.186 0.079 0.135
Li2 0.223 0.877 0.873
Li3 0.298 0.517 0.498
Mo1 0.042 0.824 0.536
Mo2 0.114 0.438 0.136
Mo3 0.143 0.231 0.867
Mo4 0.354 0.158 0.471
Mo5 0.469 0.790 0.140
Mo6 0.494 0.581 0.865
O1 0.020 0.078 0.899
O2 0.032 0.728 0.887
O3 0.036 0.408 0.917
O4 0.068 0.224 0.711
O5 0.122 0.856 0.694
O6 0.143 0.673 0.498
O7 0.150 0.005 0.494
O8 0.184 0.290 0.499
O9 0.197 0.484 0.292
O10 0.276 0.298 0.092
O11 0.279 0.126 0.312
O12 0.324 0.921 0.095
O13 0.332 0.108 0.887
O14 0.332 0.587 0.116
O15 0.376 0.398 0.901
O16 0.397 0.729 0.923
O17 0.411 0.568 0.710
O18 0.453 0.177 0.702
O19 0.497 0.673 0.495
O20 0.500 0.000 0.500

***

No. 2
# Ti3Co2P6WO24, optimized geometry, DFT PBE with a Hubbard U
# E (MP2020) ... -876.47 eV per cell
data_Ti3Co2P6WO24
_chemical_formula_sum 'Ti9 Co6 P18 W3 O72'
_cell_length_a 8.7090
_cell_length_b 8.7090
_cell_length_c 21.1000
_cell_angle_alpha 90.00
_cell_angle_beta 90.00
_cell_angle_gamma 120.00
_symmetry_space_group_name_H-M 'R 3'
_symmetry_Int_Tables_number 146
_symmetry_space_group_name_Hall 'R 3'
loop_
_atom_site_label
_atom_site_fract_x
_atom_site_fract_y
_atom_site_fract_z
Ti1 0.0000 0.0000 0.0000
Ti2 0.0000 0.0000 0.2134
Ti3 0.0000 0.0000 0.7123
Co1 0.0000 0.0000 0.3512
Co2 0.0000 0.0000 0.8566
P1 0.0013 0.2963 0.6070
P2 0.0459 0.6722 0.7722
W1 0.0000 0.0000 0.4954
O1 0.0012 0.8108 0.1661
O2 0.0021 0.2070 0.5460
O3 0.0034 0.1906 0.6661
O4 0.0173 0.1838 0.2801
O5 0.0278 0.8408 0.7786
O6 0.1564 0.6819 0.7140
O7 0.1599 0.6885 0.0948
O8 0.1673 0.4857 0.6044

***

No. 3
# Mn5V2H4O12, optimized geometry, DFT PBE with a Hubbard U
# E (MP2020) ... -365.12 eV per cell
data_Mn5V2H4O12
_chemical_formula_sum 'Mn10 V4 H8 O24'
_cell_length_a 9.802
_cell_length_b 9.697
_cell_length_c 5.481
_cell_angle_alpha 90.00
_cell_angle_beta 99.23
_cell_angle_gamma 90.00
_symmetry_space_group_name_H-M 'C 1 2/m 1'
_symmetry_Int_Tables_number 12
loop_
_symmetry_equiv_pos_as_xyz
'x,y,z'
'-x,-y,-z'
'-x,y,-z'
'x,-y,z'
'x+1/2,y+1/2,z'
'-x+1/2,-y+1/2,-z'
'-x+1/2,y+1/2,-z'
'x+1/2,-y+1/2,z'
loop_
_atom_site_label
_atom_site_fract_x
_atom_site_fract_y
_atom_site_fract_z
Mn1 0.000 0.000 0.000
Mn2 0.000 0.182 0.500
Mn3 0.000 0.347 0.000
V1 0.188 0.500 0.555
H1 0.204 0.162 0.868
O1 0.106 0.172 0.867
O2 0.126 0.500 0.841
O3 0.128 0.000 0.385
O4 0.130 0.354 0.378

***

No. 4
# Li9Mn2Co5O16, optimized geometry, DFT PBE with a Hubbard U
# Relative energy among the computed polymorphs ... 75.7 meV/atom
# E (MP2020) ... -207.44 eV per cell
data_Li9Mn2Co5O16
_chemical_formula_sum 'Li9 Mn2 Co5 O16'
_cell_length_a 4.988
_cell_length_b 7.746
_cell_length_c 7.990
_cell_angle_alpha 100.20
_cell_angle_beta 97.90
_cell_angle_gamma 103.32
_symmetry_space_group_name_H-M 'P 1'
_symmetry_Int_Tables_number 1
loop_
_symmetry_equiv_pos_as_xyz
'x,y,z'
loop_
_atom_site_label
_atom_site_fract_x
_atom_site_fract_y
_atom_site_fract_z
Li1 0.000 0.000 0.000
Li2 0.000 0.245 0.751
Li3 0.481 0.613 0.368
Li4 0.493 0.366 0.621
Li5 0.493 0.867 0.122
Li6 0.502 0.122 0.875
Li7 0.984 0.489 0.491
Li8 0.989 0.734 0.246
Li9 0.993 0.366 0.122
Mn1 0.488 0.739 0.749
Mn2 0.990 0.865 0.620
Co1 0.492 0.996 0.492
Co2 0.494 0.488 0.008
Co3 0.496 0.244 0.239
Co4 0.991 0.120 0.369
Co5 0.995 0.615 0.877
O1 0.232 0.749 0.496
O2 0.237 0.505 0.753
O3 0.239 0.847 0.872
O4 0.246 0.100 0.618
O5 0.248 0.012 0.259
O6 0.254 0.341 0.365
O7 0.267 0.256 0.003
O8 0.267 0.606 0.109
O9 0.715 0.476 0.240
O10 0.721 0.126 0.133
O11 0.731 0.392 0.879
O12 0.736 0.978 0.739
O13 0.739 0.631 0.626
O14 0.742 0.889 0.372
O15 0.751 0.722 0.995
O16 0.754 0.234 0.487

***

No. 5
# KFePbOF6, optimized geometry, DFT PBE with a Hubbard U
# Relative energy among the computed polymorphs ... 143.4 meV/atom
# E (MP2020) ... -106.37 eV per cell
data_KFePbOF6
_chemical_formula_sum 'K2 Fe2 Pb2 O2 F12'
_cell_length_a 5.851
_cell_length_b 5.874
_cell_length_c 8.969
_cell_angle_alpha 82.21
_cell_angle_beta 85.43
_cell_angle_gamma 89.89
_symmetry_space_group_name_H-M 'P -1'
_symmetry_Int_Tables_number 2
loop_
_symmetry_equiv_pos_as_xyz
'x,y,z'
'-x,-y,-z'
loop_
_atom_site_label
_atom_site_fract_x
_atom_site_fract_y
_atom_site_fract_z
K1 0.240 0.247 0.004
Fe1 0.230 0.703 0.236
Pb1 0.299 0.808 0.667
O1 0.361 0.110 0.478
F1 0.004 0.952 0.248
F2 0.018 0.533 0.769
F3 0.216 0.753 0.017
F4 0.236 0.631 0.452
F5 0.468 0.467 0.201
F6 0.479 0.934 0.203

***

No. 6
# Li2FeSi4O10, optimized geometry, DFT PBE with a Hubbard U
# Relative energy among the computed polymorphs ... 25.0 meV/atom
# E (MP2020) ... -528.41 eV per cell
data_Li2FeSi4O10
_chemical_formula_sum 'Li8 Fe4 Si16 O40'
_cell_length_a 7.148
_cell_length_b 9.543
_cell_length_c 14.336
_cell_angle_alpha 90.00
_cell_angle_beta 90.00
_cell_angle_gamma 90.00
_symmetry_space_group_name_H-M 'P 21 21 21'
_symmetry_Int_Tables_number 19
loop_
_symmetry_equiv_pos_as_xyz
'x,y,z'
'-x+1/2,-y,z+1/2'
'x+1/2,-y+1/2,-z'
'-x,y+1/2,-z+1/2'
loop_
_atom_site_label
_atom_site_fract_x
_atom_site_fract_y
_atom_site_fract_z
Li1 0.072 0.160 0.031
Li2 0.180 0.413 0.673
Fe1 0.009 0.198 0.841
Si1 0.037 0.973 0.567
Si2 0.182 0.902 0.216
Si3 0.238 0.366 0.325
Si4 0.240 0.061 0.398
O1 0.011 0.370 0.341
O2 0.039 0.810 0.537
O3 0.083 0.034 0.929
O4 0.089 0.084 0.483
O5 0.123 0.988 0.312
O6 0.171 0.513 0.893
O7 0.184 0.787 0.860
O8 0.198 0.986 0.650
O9 0.201 0.239 0.739
O10 0.204 0.602 0.718

***

No. 7
# Sr4LiMn2Ga2O11, optimized geometry, DFT PBE with a Hubbard U
# Relative energy among the computed polymorphs ... 15.1 meV/atom
# E (MP2020) ... -136.92 eV per cell
data_Sr4LiMn2Ga2O11
_chemical_formula_sum 'Sr4 Li1 Mn2 Ga2 O11'
_cell_length_a 5.751
_cell_length_b 5.894
_cell_length_c 8.696
_cell_angle_alpha 108.51
_cell_angle_beta 106.51
_cell_angle_gamma 95.05
_symmetry_space_group_name_H-M 'P 1'
_symmetry_Int_Tables_number 1
loop_
_symmetry_equiv_pos_as_xyz
'x,y,z'
loop_
_atom_site_label
_atom_site_fract_x
_atom_site_fract_y
_atom_site_fract_z
Sr1 0.000 0.000 0.000
Sr2 0.180 0.270 0.452
Sr3 0.517 0.542 0.021
Sr4 0.752 0.679 0.480
Li1 0.563 0.065 0.511
Mn1 0.129 0.636 0.248
Mn2 0.615 0.125 0.231
Ga1 0.376 0.970 0.746
Ga2 0.914 0.373 0.773
O1 0.068 0.533 0.013
O2 0.196 0.233 0.739
O3 0.222 0.734 0.520
O4 0.386 0.356 0.242
O5 0.398 0.894 0.285
O6 0.430 0.942 0.959
O7 0.684 0.093 0.736
O8 0.770 0.267 0.472
O9 0.772 0.629 0.748
O10 0.853 0.370 0.211
O11 0.857 0.899 0.227

***

No. 8
# Te7WBr5O, optimized geometry, DFT PBE with a Hubbard U
# E (MP2020) ... -213.68 eV per cell
data_Te7WBr5O
_chemical_formula_sum 'Te28 W4 Br20 O4'
_cell_length_a 27.611
_cell_length_b 8.710
_cell_length_c 7.773
_cell_angle_alpha 90.00
_cell_angle_beta 90.00
_cell_angle_gamma 90.00
_symmetry_space_group_name_H-M 'P c c a'
_symmetry_Int_Tables_number 54
loop_
_symmetry_equiv_pos_as_xyz
'x,y,z'
'-x,-y,-z'
'-x+1/2,-y,z'
'x+1/2,y,-z'
'x+1/2,-y,-z+1/2'
'-x+1/2,y,z+1/2'
'-x,y,-z+1/2'
'x,-y,z+1/2'
loop_
_atom_site_label
_atom_site_fract_x
_atom_site_fract_y
_atom_site_fract_z
Te1 0.000 0.000 0.000
Te2 0.068 0.262 0.045
Te3 0.082 0.212 0.415
Te4 0.137 0.055 0.916
W1 0.250 0.500 0.261
Br1 0.000 0.485 0.750
Br2 0.159 0.442 0.752
Br3 0.232 0.212 0.255
O1 0.250 0.500 0.007

***

Q: Which of these has the highest E (MP2020)?
A: KFePbOF6